Model A:
## Li2MnVP2O8F2 (PBE with a Hubbard U)

Data for a relaxed structure of Li2MnVP2O8F2.

POSCAR file:
```
Li2MnVP2O8F2
1.0
-2.404 -1.700 -4.284
-3.520 -9.073 3.962
-9.880 2.451 2.486
Li Mn V P O F
6 3 3 6 24 6
Cartesian
-1.754 -2.233 1.260 Li
-7.999 -2.751 1.615 Li
-4.348 -1.087 -1.968 Li
-11.456 -7.221 4.137 Li
-7.797 -5.594 0.548 Li
-14.059 -6.080 0.902 Li
-13.400 -6.620 6.445 Mn
-2.968 -5.388 -0.156 Mn
-9.739 -4.983 2.882 Mn
-6.629 -7.025 3.417 V
-6.073 -3.337 -0.719 V
-9.165 -1.299 -1.262 V
-4.597 -0.624 0.655 P
-5.132 -4.360 2.192 P
-4.462 -8.069 1.043 P
-11.336 -0.258 1.113 P
-10.696 -3.982 -0.027 P
-11.188 -7.674 1.511 P
-1.252 -1.374 -0.583 O
-5.587 -5.312 3.333 O
-5.888 -0.139 1.312 O
-3.836 -4.850 1.530 O
-8.491 -3.620 3.478 O
-9.936 -5.774 4.737 O
-4.801 -1.960 -0.110 O
-6.285 -4.150 1.152 O
-7.653 -8.745 3.480 O
-5.750 -7.582 1.683 O
-11.861 -1.202 2.237 O
-2.601 -2.480 -2.437 O
-13.198 -5.847 4.594 O
-3.944 -7.120 -0.079 O
-10.050 -0.754 0.469 O
-11.682 -8.626 2.638 O
-9.540 -4.192 1.024 O
-10.996 -6.332 2.285 O
-5.850 -2.524 -2.584 O
-7.335 -4.724 -1.323 O
-11.984 -3.474 0.631 O
-9.902 -8.167 0.867 O
-10.208 -3.032 -1.157 O
-14.540 -6.952 2.738 O
-8.236 1.227 1.931 F
-11.328 -3.779 3.471 F
-8.086 -6.200 2.317 F
-7.660 -2.167 -0.176 F
-4.534 -4.490 -1.270 F
-7.567 -9.551 0.230 F
```

Properties
magnetic moment = 18.00 Bohr magnetons per cell

***

Model B:
## Li2MnVP2O8F2 (PBE with a Hubbard U)

Data for a relaxed structure of Li2MnVP2O8F2.

POSCAR file:
```
Li2MnVP2O8F2
1.0
5.255 0.001 0.063
2.506 2.440 6.681
-1.300 -8.092 6.568
Li Mn V P O F
4 2 2 4 16 4
Cartesian
3.739 -0.043 5.435 Li
4.462 -5.307 5.409 Li
2.722 -5.608 7.878 Li
1.999 -0.343 7.903 Li
4.482 -1.606 9.995 Mn
5.207 -6.869 9.972 Mn
3.231 -2.826 6.656 V
0.000 0.000 0.000 V
0.720 -1.504 5.050 P
3.951 -4.329 11.706 P
5.741 -4.147 8.262 P
2.510 -1.322 1.607 P
4.788 -1.713 6.091 O
0.256 -6.979 6.004 O
1.674 -3.938 7.221 O
6.205 1.328 7.310 O
4.040 -5.481 10.693 O
0.809 -2.657 4.037 O
2.421 -0.169 2.619 O
5.652 -2.994 9.276 O
5.561 -0.158 4.428 O
3.536 -2.985 11.020 O
0.900 -5.492 8.885 O
2.924 -2.666 2.293 O
4.415 -4.323 7.456 O
3.692 0.941 7.481 O
2.046 -1.329 5.857 O
2.770 -6.592 5.832 O
3.826 -7.075 8.326 F
3.102 -1.811 8.351 F
2.635 1.425 4.986 F
3.358 -3.840 4.961 F
```

Properties
magnetic moment = 0.00 Bohr magnetons per cell

***

Stability ranking, top and bottom: model B is the most stable and model A is the least stable.

***

Model A:
## Li2NiO2F (PBE with a Hubbard U)

Data for a relaxed structure of Li2NiO2F.

POSCAR file:
```
Li2NiO2F
1.0
1.473 -2.347 -0.549
3.371 0.466 14.271
-3.742 -2.837 2.092
Li Ni O F
8 4 8 4
Cartesian
0.357 -4.009 10.799 Li
1.491 -1.417 10.028 Li
1.109 -1.528 2.231 Li
-1.498 -1.773 3.553 Li
0.735 -0.708 4.987 Li
-0.400 -3.300 5.758 Li
-1.124 -2.592 0.799 Li
-3.731 -2.837 2.119 Li
-0.005 -3.193 13.596 Ni
-0.754 -2.479 8.552 Ni
2.602 -2.948 12.276 Ni
1.853 -2.233 7.232 Ni
1.738 -3.892 13.992 O
2.872 -1.300 13.220 O
-1.023 -4.126 7.608 O
0.111 -1.535 6.836 O
2.123 -0.587 8.178 O
0.989 -3.179 8.948 O
3.466 -2.003 10.560 O
0.858 -2.248 11.880 O
-0.752 -0.893 1.794 F
-1.886 -3.485 2.565 F
0.362 -2.409 3.993 F
-2.245 -2.654 5.313 F
```

Properties
magnetic moment = 0.00 Bohr magnetons per cell

***

Model B:
## Li2NiO2F (PBE with a Hubbard U)

Data for a relaxed structure of Li2NiO2F.

POSCAR file:
```
Li2NiO2F
1.0
-1.450 2.511 0.000
-1.450 -2.511 0.000
0.000 0.000 14.308
Li Ni O F
4 2 4 2
Cartesian
-1.450 -0.837 9.538 Li
-1.450 -0.837 2.385 Li
-1.450 0.837 4.730 Li
0.000 0.000 0.040 Li
-1.450 0.837 11.929 Ni
0.000 0.000 7.149 Ni
-1.450 -0.837 13.006 O
-1.450 0.837 8.244 O
-1.450 -0.837 6.071 O
0.000 0.000 10.833 O
-1.450 0.837 1.207 F
0.000 0.000 3.562 F
```

Properties
magnetic moment = 2.00 Bohr magnetons per cell

***

Model C:
## Li2NiO2F (PBE with a Hubbard U)

Data for a relaxed structure of Li2NiO2F.

POSCAR file:
```
Li2NiO2F
1.0
-4.748 1.585 0.495
1.282 -3.099 -3.749
-2.984 -7.913 4.492
Li Ni O F
8 4 8 4
Cartesian
-3.855 -2.670 -0.951 Li
-6.357 -5.899 2.044 Li
-4.204 1.162 0.112 Li
-3.655 -5.934 2.936 Li
-3.156 -1.149 1.351 Li
-4.337 -7.560 0.562 Li
-0.235 -1.920 -2.681 Li
-1.027 -2.711 -0.087 Li
-4.722 -3.551 1.673 Ni
-2.332 -0.291 -1.205 Ni
-0.685 -6.687 -1.169 Ni
-2.701 -5.120 0.251 Ni
-4.454 -5.459 0.916 O
-3.986 -0.748 -0.413 O
-3.598 -4.725 -1.359 O
-2.815 -3.333 0.899 O
-5.432 -6.374 3.741 O
-2.485 -6.922 -0.288 O
-1.016 -4.795 -0.548 O
-1.871 -5.464 1.908 O
-6.154 -7.844 1.410 F
-2.049 -2.239 -1.767 F
-1.300 -0.803 0.536 F
-3.511 -7.880 2.380 F
```

Properties
magnetic moment = 4.00 Bohr magnetons per cell

***

Model D:
## Li2NiO2F (PBE with a Hubbard U)

Data for a relaxed structure of Li2NiO2F.

POSCAR file:
```
Li2NiO2F
1.0
-3.095 -3.866 -0.826
1.731 -1.831 -8.811
1.927 -4.112 2.140
Li Ni O F
8 4 8 4
Cartesian
-0.412 -7.688 -8.534 Li
0.424 -5.444 -6.941 Li
1.320 -3.293 -5.293 Li
-0.912 -4.893 -4.395 Li
1.524 -4.908 -2.975 Li
-0.109 -2.567 -2.841 Li
0.115 -4.384 -0.598 Li
1.994 -7.917 -7.090 Li
2.901 -5.623 -5.487 Ni
0.715 -7.172 -4.701 Ni
-0.664 -6.583 -2.174 Ni
-2.343 -4.140 -2.091 Ni
0.587 -3.343 -7.292 O
0.077 -7.645 -6.529 O
1.121 -5.323 -4.950 O
-1.026 -6.866 -4.019 O
-0.468 -4.733 -2.435 O
2.193 -4.558 -0.929 O
-0.257 -6.392 -0.346 O
-2.087 -3.930 -0.227 O
-1.424 -5.088 -6.382 F
-0.515 -2.844 -4.734 F
0.307 -2.283 -0.946 F
0.512 -4.023 1.290 F
```

Properties
magnetic moment = 4.00 Bohr magnetons per cell

***

Stability ranking, top and bottom: model A is the most stable and model D is the least stable.

***

Model A:
## LiNiOF (PBE with a Hubbard U)

Data for a relaxed structure of LiNiOF.

POSCAR file:
```
LiNiOF
1.0
-2.256 0.161 -1.904
1.769 -0.936 -2.175
-4.067 -15.782 3.481
Li Ni O F
4 4 4 4
Cartesian
-0.398 -5.447 0.010 Li
-2.917 -6.862 0.579 Li
-1.393 -9.308 0.862 Li
-3.912 -10.723 1.431 Li
-2.412 -13.259 1.734 Ni
-4.933 -14.684 2.304 Ni
0.623 -1.485 -0.863 Ni
-1.899 -2.910 -0.292 Ni
-4.417 -12.681 1.863 O
-2.924 -15.246 2.172 O
-1.386 -0.923 -0.731 O
0.106 -3.488 -0.422 O
-2.426 -4.956 0.159 F
-0.901 -7.396 0.440 F
-3.409 -8.773 1.001 F
-1.885 -11.213 1.282 F
```

Properties
magnetic moment = 8.01 Bohr magnetons per cell

***

Model B:
## LiNiOF (PBE with a Hubbard U)

Data for a relaxed structure of LiNiOF.

POSCAR file:
```
LiNiOF
1.0
-0.866 0.137 2.820
-2.598 -1.193 -0.740
4.727 -11.547 2.012
Li Ni O F
3 3 3 3
Cartesian
1.415 -8.215 2.380 Li
-0.152 -4.388 1.713 Li
2.364 -5.774 1.006 Li
3.941 -9.627 1.677 Ni
-1.732 -0.528 1.040 Ni
0.786 -1.921 0.335 Ni
2.197 -10.124 2.712 O
0.000 0.000 0.000 O
-0.933 -2.478 1.380 O
3.123 -7.629 1.329 F
1.604 -3.918 0.683 F
0.632 -6.301 2.046 F
```

Properties
magnetic moment = 6.02 Bohr magnetons per cell

***

Stability ranking, top and bottom: model A is the most stable and model B is the least stable.

***

Model A:
## Li7NiO4F2 (PBE with a Hubbard U)

Data for a relaxed structure of Li7NiO4F2.

POSCAR file:
```
Li7NiO4F2
1.0
-1.614 4.935 1.705
-9.295 -0.315 -1.703
-0.914 0.201 5.639
Li Ni O F
14 2 8 4
Cartesian
-3.122 4.402 3.879 Li
-8.228 4.345 5.847 Li
-1.682 2.517 4.841 Li
-5.872 2.259 1.170 Li
-4.350 4.054 5.915 Li
-8.540 3.796 2.244 Li
-2.184 1.764 1.075 Li
-7.289 1.707 3.044 Li
-3.468 1.218 3.470 Li
-7.659 0.960 -0.201 Li
-5.571 2.677 4.262 Li
-9.762 2.419 0.592 Li
-3.759 0.177 -0.106 Li
-8.863 0.120 1.862 Li
-6.792 4.849 3.738 Ni
-1.688 4.907 1.770 Ni
-2.462 3.938 5.874 O
-6.652 3.679 2.204 O
-5.017 4.548 4.121 O
-9.208 4.290 0.451 O
-2.682 0.742 5.213 O
-6.872 0.483 1.542 O
-5.395 0.895 3.640 O
-9.586 0.638 -0.031 O
-2.414 2.730 3.018 F
-7.519 2.673 4.986 F
-4.082 2.090 0.536 F
-9.186 2.032 2.504 F
```

Properties
magnetic moment = 0.00 Bohr magnetons per cell

***

Model B:
## Li7NiO4F2 (PBE with a Hubbard U)

Data for a relaxed structure of Li7NiO4F2.

POSCAR file:
```
Li7NiO4F2
1.0
0.652 -3.373 4.109
0.565 -2.235 -5.144
9.086 3.589 2.447
Li Ni O F
14 2 8 4
Cartesian
7.605 0.429 -2.829 Li
2.831 -1.531 0.623 Li
5.980 0.254 3.443 Li
8.912 -1.038 3.936 Li
5.542 0.089 -2.464 Li
0.840 -2.234 0.777 Li
3.929 -3.522 1.369 Li
9.282 0.037 0.372 Li
5.064 -2.113 4.026 Li
1.901 -4.055 1.699 Li
4.356 -2.461 -2.018 Li
7.159 -0.187 0.927 Li
2.959 -2.655 4.170 Li
2.292 -3.013 -1.910 Li
0.933 -2.000 -4.823 Ni
5.086 -1.091 0.699 Ni
5.743 0.887 1.646 O
2.000 -0.317 1.447 O
9.390 1.105 -1.067 O
4.565 -1.406 2.163 O
1.789 -3.369 -0.121 O
5.496 -0.769 -0.829 O
1.193 -2.911 2.678 O
4.544 -3.098 -0.164 O
7.450 -1.638 2.184 F
8.496 1.318 1.387 F
8.136 -1.643 -0.077 F
2.902 -0.528 -0.960 F
```

Properties
magnetic moment = 0.00 Bohr magnetons per cell

***

Stability ranking, top and bottom: model A is the most stable and model B is the least stable.

***

Model A:
## Li7NiO4F2 (PBE with a Hubbard U)

Data for a relaxed structure of Li7NiO4F2.

POSCAR file:
```
Li7NiO4F2
1.0
5.350 0.198 -0.176
-2.779 1.406 4.930
2.228 -8.457 5.076
Li Ni O F
14 2 8 4
Cartesian
0.906 -1.849 1.317 Li
0.446 -5.416 6.835 Li
0.832 -1.828 6.516 Li
1.546 -0.062 3.312 Li
1.802 -3.382 3.268 Li
1.411 -7.078 8.391 Li
2.170 -5.174 5.099 Li
3.339 -0.034 1.357 Li
3.060 -3.220 6.361 Li
3.164 -6.759 6.887 Li
4.098 -5.068 3.183 Li
4.315 -1.523 3.540 Li
3.930 -4.907 8.109 Li
4.940 -6.738 4.868 Li
2.249 -8.030 5.048 Ni
-0.214 -3.604 5.014 Ni
-0.945 -2.187 6.067 O
0.414 -5.382 8.779 O
1.480 0.099 1.038 O
1.230 -3.756 6.163 O
1.310 -7.014 6.339 O
3.659 -3.348 3.761 O
3.277 -6.627 8.764 O
5.931 -4.732 3.708 O
0.869 -1.747 3.337 F
3.401 0.101 3.406 F
4.344 -1.581 1.218 F
3.876 -5.169 6.256 F
```

Properties
magnetic moment = 4.00 Bohr magnetons per cell

***

Model B:
## Li7NiO4F2 (PBE with a Hubbard U)

Data for a relaxed structure of Li7NiO4F2.

POSCAR file:
```
Li7NiO4F2
1.0
2.537 1.579 4.889
-8.097 1.238 5.277
-0.287 -10.057 0.359
Li Ni O F
28 4 16 8
Cartesian
-7.191 -0.498 6.744 Li
-1.844 -0.290 6.511 Li
-2.092 -6.990 2.167 Li
-4.831 -5.618 7.254 Li
-1.654 -3.407 1.947 Li
-4.389 -1.966 6.983 Li
1.538 -0.204 4.095 Li
-3.796 -0.314 4.149 Li
-6.268 -2.120 8.572 Li
-3.524 -3.521 3.483 Li
-1.154 -8.684 3.704 Li
-3.988 -7.374 8.905 Li
2.205 -5.155 5.210 Li
-3.074 -5.292 5.364 Li
-4.784 1.030 6.681 Li
-1.976 -0.305 1.659 Li
0.545 -4.768 1.552 Li
-2.218 -3.406 6.675 Li
-7.338 -7.378 7.571 Li
-2.160 -7.066 7.366 Li
-3.974 -3.835 8.558 Li
-1.178 -5.263 3.480 Li
-6.396 -1.811 4.456 Li
-1.115 -1.644 4.254 Li
1.260 -6.499 3.369 Li
-4.020 -6.675 3.627 Li
-5.790 -7.272 5.491 Li
-0.487 -7.142 5.331 Li
-3.084 -8.118 5.374 Ni
-0.142 -3.578 5.142 Ni
2.215 -7.836 5.166 Ni
-5.447 -3.756 5.349 Ni
-0.897 -2.121 6.212 O
-6.187 -2.286 6.415 O
-2.142 -6.941 4.136 O
-4.968 -5.444 9.212 O
-6.601 1.225 5.998 O
-1.257 1.553 5.969 O
-1.278 -5.340 1.467 O
-4.049 -3.945 6.550 O
-1.212 -8.579 1.676 O
-4.046 -7.293 6.783 O
-4.413 -2.094 9.154 O
-1.665 -3.529 4.071 O
0.728 -8.339 4.141 O
-4.626 -8.388 4.331 O
-4.650 -5.010 4.153 O
0.659 -4.837 3.951 O
0.751 -1.733 3.405 F
-4.556 -1.886 3.551 F
-4.810 1.109 8.580 F
-1.970 -0.169 3.577 F
-3.695 -0.423 6.064 F
-0.968 -1.851 1.114 F
-6.750 -5.629 6.814 F
-1.468 -5.374 6.639 F
```

Properties
magnetic moment = 2.00 Bohr magnetons per cell

***

Stability ranking, top and bottom: model B is the most stable and model A is the least stable.